[1]
The following is a DFT calculation (PBE with a Hubbard U) of a relaxed Li9Mn2Co5O16 crystal.

a b c (Å): 5.0766 5.8147 10.1679
angles (deg): 73.39 99.60 90.00
Positions (direct):
Li 0.5000 0.7500 0.5000
Co 0.5000 0.2500 0.5000
O 0.8969 0.1954 0.1137
Co 0.5000 0.2500 0.0000
O 0.3662 0.9660 0.6092
Li 0.2478 0.1295 0.7410
Li 0.7417 0.8740 0.7407
O 0.8969 0.6909 0.1137
Li 0.7417 0.3853 0.7407
O 0.3555 0.4444 0.1112
Mn 0.9993 0.5005 0.9989
O 0.6425 0.5577 0.8847
O 0.6445 0.0556 0.8888
Li 0.2583 0.1147 0.2593
O 0.3575 0.9423 0.1153
Co 0.0000 0.5067 0.5000
Co 0.5000 0.7500 0.0000
O 0.6338 0.0752 0.3908
Li 0.2567 0.6318 0.7365
Li 0.2583 0.6260 0.2593
Li 0.7433 0.8682 0.2635
O 0.6338 0.5340 0.3908
O 0.1031 0.8091 0.8863
Mn 0.0007 0.9995 0.0011
O 0.1443 0.3059 0.3883
Co 0.0000 0.9933 0.5000
Li 0.7522 0.3705 0.2590
O 0.3662 0.4248 0.6092
O 0.1031 0.3046 0.8863
O 0.8557 0.1941 0.6117
O 0.1043 0.8092 0.3816
O 0.8957 0.6908 0.6184

Properties
Uncorrected energy, eV per atom: -5.7795
Space-group type: C2/m, No. 12
Magnetic moment, μB per formula unit: 10.00
MP2020-corrected energy, eV per atom: -6.483
Crystal system: monoclinic

[2]
The following is a DFT calculation (PBE with a Hubbard U) of a relaxed TiMn3Co2P6O24 crystal.

a b c (Å): 8.5036 8.5036 8.5036
angles (deg): 61.23 61.23 61.23
Positions (direct):
O 0.9921 0.6161 0.8203
O 0.2551 0.9109 0.0612
O 0.0890 0.9362 0.7444
O 0.1096 0.5127 0.3153
O 0.5943 0.2435 0.4475
Mn 0.1439 0.1439 0.1439
Mn 0.6433 0.6433 0.6433
O 0.9902 0.3880 0.1862
Ti 0.8564 0.8564 0.8564
O 0.6161 0.8203 0.9921
O 0.5604 0.4085 0.7547
P 0.9555 0.5450 0.2507
O 0.9362 0.7444 0.0890
O 0.5127 0.3153 0.1096
O 0.1862 0.9902 0.3880
O 0.9109 0.0612 0.2551
O 0.6841 0.8910 0.4868
O 0.2435 0.4475 0.5943
P 0.0454 0.4530 0.7504
Co 0.0000 0.0000 0.0000
Mn 0.3572 0.3572 0.3572
P 0.2507 0.9555 0.5450
P 0.4530 0.7504 0.0454
O 0.7547 0.5604 0.4085
Co 0.5011 0.5011 0.5011
O 0.4868 0.6841 0.8910
O 0.7444 0.0890 0.9362
O 0.0612 0.2551 0.9109
O 0.4475 0.5943 0.2435
O 0.8910 0.4868 0.6841
O 0.4085 0.7547 0.5604
O 0.3880 0.1862 0.9902
P 0.7504 0.0454 0.4530
P 0.5450 0.2507 0.9555
O 0.3153 0.1096 0.5127
O 0.8203 0.9921 0.6161

Properties
Uncorrected energy, eV per atom: -7.2831
Space-group type: R3, No. 146
Magnetic moment, μB per formula unit: 18.16
MP2020-corrected energy, eV per atom: -7.971
Crystal system: trigonal

[3]
The following is a DFT calculation (PBE with a Hubbard U) of a relaxed Li7Mn4P8O28 crystal.

a b c (Å): 9.9058 9.9114 11.3452
angles (deg): 102.66 90.12 90.34
Positions (direct):
Mn 0.7106 0.7586 0.8257
Li 0.0780 0.3294 0.4548
O 0.8596 0.6160 0.8549
P 0.4528 0.9727 0.2412
O 0.3269 0.6620 0.3108
O 0.9629 0.3777 0.7871
O 0.9227 0.1124 0.2953
O 0.3423 0.5310 0.5610
P 0.8486 0.1243 0.4253
O 0.0877 0.9124 0.2691
O 0.7767 0.5199 0.0759
O 0.5841 0.0221 0.6281
Mn 0.2853 0.2407 0.1736
P 0.5457 0.0240 0.7559
O 0.1620 0.0235 0.5533
Li 0.2223 0.6123 0.4489
O 0.4156 0.9753 0.3707
O 0.4352 0.5616 0.1112
O 0.9132 0.5219 0.6293
O 0.9360 0.2236 0.5187
O 0.7243 0.0193 0.0762
Li 0.2882 0.1145 0.4499
P 0.0690 0.0585 0.2441
O 0.0647 0.7748 0.4824
Li 0.4278 0.8383 0.4616
O 0.4244 0.3824 0.7011
O 0.2103 0.3170 0.5831
O 0.5637 0.7230 0.5181
O 0.1746 0.1633 0.3131
O 0.0658 0.0636 0.1119
O 0.2220 0.4809 0.9249
Li 0.8939 0.0853 0.0284
P 0.5689 0.4416 0.7570
O 0.6697 0.3169 0.1537
O 0.4678 0.1230 0.2164
P 0.9325 0.9401 0.7567
O 0.6572 0.4737 0.4442
O 0.8309 0.8208 0.1578
P 0.9508 0.5255 0.7599
O 0.3664 0.2233 0.9966
O 0.1375 0.3848 0.1438
P 0.7057 0.8806 0.1086
P 0.7944 0.3809 0.1081
O 0.4145 0.4127 0.2708
Mn 0.4194 0.7061 0.6825
Li 0.7186 0.8960 0.5537
Li 0.5879 0.1502 0.0426
O 0.3986 0.0929 0.7764
P 0.3515 0.3789 0.5730
O 0.5360 0.8730 0.7808
O 0.9357 0.9357 0.8889
O 0.9135 0.0853 0.7309
O 0.7137 0.1919 0.4118
O 0.0984 0.5952 0.7766
O 0.1735 0.1870 0.8445
Li 0.3911 0.4150 0.9698
O 0.8642 0.2771 0.0020
O 0.4282 0.2823 0.4735
O 0.8274 0.8349 0.6874
O 0.8378 0.9767 0.4449
O 0.5607 0.4390 0.8895
O 0.0801 0.8866 0.7046
P 0.4327 0.5580 0.2433
Mn 0.0811 0.2033 0.6757
Mn 0.2167 0.7443 0.1740
Li 0.9210 0.6700 0.5469
O 0.6811 0.3448 0.6955
P 0.0472 0.4744 0.2395
Li 0.0912 0.3452 0.9564
Mn 0.5734 0.2938 0.3329
O 0.2906 0.8122 0.5832
O 0.0855 0.4768 0.3697
P 0.2948 0.1172 0.8911
P 0.6490 0.6223 0.4261
O 0.5851 0.5875 0.7291
Li 0.1107 0.9126 0.9725
O 0.6382 0.1105 0.8550
O 0.5801 0.6142 0.2950
Li 0.6062 0.5859 0.0277
Li 0.9078 0.6571 0.0416
O 0.0375 0.6235 0.2141
O 0.5993 0.9017 0.2211
P 0.2051 0.6188 0.8902
Mn 0.9202 0.7994 0.3259
O 0.3279 0.6776 0.8404
O 0.1348 0.7220 0.9969
P 0.1506 0.8772 0.5743
O 0.6452 0.7716 0.0027
O 0.7900 0.6849 0.4184
Li 0.7747 0.3812 0.5524
O 0.2697 0.9819 0.9235
O 0.8985 0.4054 0.2232
O 0.3552 0.8889 0.1484
Mn 0.7833 0.2532 0.8212

Properties
Uncorrected energy, eV per atom: -7.0140
Space-group type: P1, No. 1
Magnetic moment, μB per formula unit: 19.00
MP2020-corrected energy, eV per atom: -7.565
Crystal system: triclinic

[4]
The following is a DFT calculation (PBE with a Hubbard U) of a relaxed MgMn6O10F2 crystal.

a b c (Å): 5.0828 7.5140 5.7070
angles (deg): 98.10 99.13 84.44
Positions (direct):
Mn 0.4353 0.9691 0.5454
O 0.1310 0.8981 0.7157
F 0.8413 0.7681 0.9987
O 0.8729 0.0982 0.2985
Mn 0.9966 0.9973 0.0000
Mn 0.0035 0.3241 0.3220
O 0.1273 0.2232 0.0235
O 0.6634 0.4087 0.1308
O 0.8690 0.4233 0.6062
O 0.6502 0.7462 0.4870
O 0.3529 0.2320 0.4867
O 0.6472 0.0895 0.8352
Mn 0.9999 0.6607 0.6611
Mg 0.5001 0.1607 0.1610
O 0.3368 0.9128 0.1911
F 0.1587 0.5535 0.3235
Mn 0.4999 0.6607 0.1611
O 0.3494 0.5751 0.8353
Mn 0.5647 0.3524 0.7766

Properties
Uncorrected energy, eV per atom: -6.9691
Space-group type: P-1, No. 2
Magnetic moment, μB per formula unit: 22.00
MP2020-corrected energy, eV per atom: -7.906
Crystal system: triclinic

[5]
The following is a DFT calculation (PBE with a Hubbard U) of a relaxed Na3CoPCO7 crystal.

a b c (Å): 8.9975 5.2976 6.6228
angles (deg): 89.99 90.00 90.17
Positions (direct):
O 0.7412 0.9203 0.9246
P 0.3477 0.9816 0.2379
Na 0.9942 0.9940 0.9860
Na 0.8317 0.5614 0.7188
O 0.5012 0.1190 0.2278
O 0.2515 0.0670 0.0512
O 0.2920 0.4298 0.7380
O 0.6336 0.3065 0.7387
O 0.3664 0.6936 0.2386
O 0.2587 0.0796 0.4246
Na 0.0058 0.0060 0.4860
O 0.7486 0.9331 0.5513
O 0.7081 0.5702 0.2379
O 0.9515 0.6676 0.2429
Na 0.4892 0.4889 0.4911
Na 0.1684 0.4386 0.2187
Na 0.5108 0.5110 0.9912
O 0.8797 0.2596 0.2318
O 0.1204 0.7405 0.7318
Co 0.2932 0.0304 0.7487
C 0.8455 0.5002 0.2371
Co 0.7067 0.9693 0.2488
O 0.4988 0.8811 0.7276
C 0.1545 0.4998 0.7372
P 0.6523 0.0185 0.7379
O 0.0485 0.3324 0.7430

Properties
Uncorrected energy, eV per atom: -6.3627
Space-group type: P2_1, No. 4
Magnetic moment, μB per formula unit: 3.00
MP2020-corrected energy, eV per atom: -6.859
Crystal system: monoclinic

[6]
The following is a DFT calculation (PBE with a Hubbard U) of a relaxed LiVF4 crystal.

a b c (Å): 5.6734 5.6734 5.6734
angles (deg): 138.99 138.99 59.40
Positions (direct):
F 0.1974 0.1974 0.0000
F 0.9819 0.4819 0.5000
F 0.8026 0.8026 0.0000
V 0.0000 0.0000 0.0000
F 0.5181 0.0181 0.5000
Li 0.7500 0.2500 0.5000

Properties
Uncorrected energy, eV per atom: -5.6531
Space-group type: I-4m2, No. 119
Magnetic moment, μB per formula unit: 2.00
MP2020-corrected energy, eV per atom: -6.244
Crystal system: tetragonal

[7]
The following is a DFT calculation (PBE with a Hubbard U) of a relaxed MgCo6O8F4 crystal.

a b c (Å): 8.2417 5.8866 5.8165
angles (deg): 64.38 62.62 61.84
Positions (direct):
Mg 0.4996 0.4959 0.0051
F 0.6036 0.5717 0.6010
O 0.9594 0.2251 0.2319
O 0.3204 0.9773 0.3482
Co 0.6908 0.3328 0.3547
F 0.6976 0.1296 0.0745
O 0.6843 0.0255 0.6444
O 0.9980 0.6786 0.2990
Co 0.0090 0.0046 0.0043
O 0.0096 0.3017 0.6785
O 0.4193 0.4281 0.4127
Co 0.3282 0.6393 0.6155
O 0.6781 0.6320 0.0290
Co 0.8799 0.6766 0.6702
F 0.3119 0.8642 0.9139
Co 0.1149 0.3099 0.3115
Co 0.5023 0.0005 0.9985
F 0.0400 0.7680 0.7598
O 0.3271 0.3637 0.9722

Properties
Uncorrected energy, eV per atom: -5.5042
Space-group type: P1, No. 1
Magnetic moment, μB per formula unit: 18.00
MP2020-corrected energy, eV per atom: -6.408
Crystal system: triclinic

[8]
The following is a DFT calculation (PBE with a Hubbard U) of a relaxed Li3Fe2Si2O8 crystal.

a b c (Å): 11.3162 5.1740 6.1052
angles (deg): 88.83 90.00 90.00
Positions (direct):
Si 0.9093 0.0632 0.5083
O 0.9338 0.3769 0.5338
O 0.9511 0.5463 0.9958
O 0.6533 0.4508 0.2279
Li 0.1718 0.9618 0.2414
Li 0.8342 0.5520 0.7576
Li 0.3342 0.4480 0.2424
Li 0.6697 0.0524 0.2429
O 0.5892 0.8833 0.0042
O 0.5453 0.0695 0.5092
Si 0.5849 0.5649 0.0052
O 0.8381 0.9518 0.7248
O 0.6570 0.4641 0.7775
O 0.3335 0.9930 0.7099
Fe 0.9243 0.9323 0.0261
Li 0.1697 0.9476 0.7571
O 0.8335 0.0070 0.2901
Fe 0.0732 0.5614 0.4995
O 0.3381 0.0482 0.2752
O 0.0892 0.1167 0.9958
O 0.1570 0.5359 0.2225
Fe 0.4243 0.0677 0.9739
Li 0.6718 0.0382 0.7586
Si 0.0849 0.4351 0.9948
O 0.1533 0.5492 0.7721
Si 0.4093 0.9368 0.4917
O 0.0453 0.9305 0.4908
O 0.4338 0.6231 0.4662
O 0.4511 0.4537 0.0042
Fe 0.5732 0.4386 0.5005

Properties
Uncorrected energy, eV per atom: -6.7005
Space-group type: P2_1, No. 4
Magnetic moment, μB per formula unit: 9.00
MP2020-corrected energy, eV per atom: -7.368
Crystal system: monoclinic

[9]
The following is a DFT calculation (PBE with a Hubbard U) of a relaxed Y2Mn2S2O5 crystal.

a b c (Å): 11.7852 11.7852 11.7852
angles (deg): 161.33 161.33 26.52
Positions (direct):
O 0.3992 0.8992 0.5000
O 0.1008 0.6008 0.5000
O 0.6008 0.1008 0.5000
O 0.0000 0.0000 0.0000
S 0.2056 0.2056 0.0000
Y 0.6602 0.6602 0.0000
Mn 0.9208 0.9208 0.0000
Y 0.3398 0.3398 0.0000
O 0.8992 0.3992 0.5000
S 0.7944 0.7944 0.0000
Mn 0.0792 0.0792 0.0000

Properties
Uncorrected energy, eV per atom: -7.4418
Space-group type: I4/mmm, No. 139
Magnetic moment, μB per formula unit: 6.13
MP2020-corrected energy, eV per atom: -8.149
Crystal system: tetragonal

[10]
The following is a DFT calculation (PBE with a Hubbard U) of a relaxed LiFe5O8 crystal.

a b c (Å): 5.8290 5.8290 5.8290
angles (deg): 60.11 60.11 60.11
Positions (direct):
O 0.7512 0.7512 0.2207
Fe 0.6201 0.6201 0.6201
O 0.7512 0.2207 0.7512
Fe 0.3799 0.3799 0.3799
Fe 0.0000 0.0000 0.5000
Fe 0.5000 0.0000 0.0000
O 0.2207 0.7512 0.7512
O 0.7564 0.7564 0.7564
Li 0.0000 0.0000 0.0000
O 0.2488 0.7793 0.2488
O 0.2436 0.2436 0.2436
O 0.7793 0.2488 0.2488
O 0.2488 0.2488 0.7793
Fe 0.0000 0.5000 0.0000

Properties
Uncorrected energy, eV per atom: -6.4290
Space-group type: R-3m, No. 166
Magnetic moment, μB per formula unit: 25.00
MP2020-corrected energy, eV per atom: -7.627
Crystal system: trigonal

[11]
The following is a DFT calculation (PBE with a Hubbard U) of a relaxed CaMn2P2O9 crystal.

a b c (Å): 6.5806 7.4123 14.3595
angles (deg): 90.00 90.00 90.00
Positions (direct):
O 0.7500 0.1790 0.9847
O 0.5554 0.8928 0.8648
O 0.4446 0.1072 0.1352
Mn 0.7500 0.8511 0.6200
Ca 0.2500 0.6152 0.2801
O 0.4446 0.3928 0.6352
O 0.2500 0.6790 0.5153
Mn 0.5000 0.5000 0.5000
O 0.2500 0.5431 0.7693
P 0.7500 0.3646 0.9344
O 0.2500 0.2826 0.2590
Mn 0.7500 0.6489 0.1200
O 0.4332 0.8736 0.6332
O 0.5668 0.3736 0.8668
O 0.5554 0.6072 0.3648
O 0.9446 0.8928 0.8648
O 0.2500 0.9569 0.2693
P 0.2500 0.8646 0.5656
O 0.7500 0.8762 0.0541
P 0.2500 0.6354 0.0656
Mn 0.0000 0.5000 0.5000
O 0.7500 0.5133 0.0068
P 0.7500 0.6100 0.3055
O 0.9332 0.1264 0.3668
P 0.7500 0.1354 0.4344
O 0.7500 0.7826 0.2410
O 0.0554 0.1072 0.1352
Ca 0.7500 0.3848 0.7199
P 0.2500 0.1100 0.1945
O 0.2500 0.3762 0.4459
O 0.2500 0.8210 0.0153
O 0.7500 0.9867 0.5068
O 0.2500 0.2174 0.7590
O 0.9446 0.6072 0.3648
Ca 0.2500 0.8848 0.7801
O 0.5668 0.1264 0.3668
Mn 0.2500 0.3511 0.8800
O 0.0554 0.3928 0.6352
O 0.7500 0.0431 0.7307
O 0.2500 0.4867 0.9932
O 0.4332 0.6264 0.1332
P 0.7500 0.8900 0.8055
Ca 0.7500 0.1152 0.2199
P 0.2500 0.3900 0.6945
O 0.0668 0.8736 0.6332
O 0.7500 0.6238 0.5541
Mn 0.2500 0.1489 0.3800
O 0.9332 0.3736 0.8668
O 0.7500 0.7174 0.7410
Mn 0.5000 0.0000 0.0000
Mn 0.0000 0.0000 0.0000
O 0.2500 0.0133 0.4932
O 0.7500 0.3210 0.4847
O 0.7500 0.4569 0.2307
O 0.0668 0.6264 0.1332
O 0.2500 0.1238 0.9459

Properties
Uncorrected energy, eV per atom: -7.3990
Space-group type: Pnma, No. 62
Magnetic moment, μB per formula unit: 8.00
MP2020-corrected energy, eV per atom: -8.079
Crystal system: orthorhombic